(1)
## Al2NiOs (PBE)

Data for Al2NiOs after structural relaxation.

Lattice parameters (Å, degrees): 4.192 4.192 4.192 60.00 60.00 60.00
Sites, in units of the cell vectors:
Al: 0.250 0.250 0.250
Al: 0.750 0.750 0.750
Ni: 0.000 0.000 0.000
Os: 0.500 0.500 0.500

Calculated values
* V: 13.02 Å³ per atom
* space-group type: No. 225
* E_tot: -26.64 eV per formula unit
* ΔE_f: -0.536 eV per atom


(2)
## Al2Ni9Pd (PBE)

Data for Al2Ni9Pd after structural relaxation.

Lattice parameters (Å, degrees): 3.602 3.602 10.769 90.00 90.00 90.00
Sites, in units of the cell vectors:
Al: 0.000 0.000 0.163
Al: 0.000 0.000 0.837
Ni: 0.000 0.500 0.000
Ni: 0.000 0.500 0.327
Ni: 0.000 0.500 0.673
Ni: 0.500 0.000 0.000
Ni: 0.500 0.000 0.327
Ni: 0.500 0.000 0.673
Ni: 0.500 0.500 0.164
Ni: 0.500 0.500 0.500
Ni: 0.500 0.500 0.836
Pd: 0.000 0.000 0.500

Calculated values
* V: 11.64 Å³ per atom
* space-group type: No. 123
* E_tot: -67.90 eV per formula unit
* ΔE_f: -0.268 eV per atom


(3)
## PrAl2Ni (PBE)

Data for PrAl2Ni after structural relaxation.

Lattice parameters (Å, degrees): 5.834 5.834 6.907 90.00 90.00 138.95
Sites, in units of the cell vectors:
Pr: 0.057 0.943 0.750
Pr: 0.943 0.057 0.250
Al: 0.333 0.667 0.556
Al: 0.333 0.667 0.944
Al: 0.667 0.333 0.056
Al: 0.667 0.333 0.444
Ni: 0.217 0.783 0.250
Ni: 0.783 0.217 0.750

Calculated values
* V: 19.30 Å³ per atom
* space-group type: No. 63
* E_tot: -20.34 eV per formula unit
* ΔE_f: -0.573 eV per atom